(1)
DFT (GGA-PBE) results for Na10Ti4Nb4Si11SO48 after structural relaxation.

Energy ... -7.51 eV per atom
Space-group type ... No. 1
Energy of formation from the pure elements ... -22398 kJ/mol of formula units

abc: 17.9501 8.9857 22.4328
angles: 90.03 90.01 120.00
Fractional coordinates of all 234 atoms:
O  0.9190  0.2986  0.5248
O  0.0874  0.6895  0.7561
O  0.2539  0.1382  0.6411
Si  0.6646  0.3702  0.4150
O  0.2668  0.8347  0.4736
O  0.7306  0.1547  0.2461
O  0.8452  0.5173  0.2435
O  0.8256  0.4990  0.9207
O  0.9051  0.9739  0.4094
O  0.7522  0.1388  0.6406
O  0.0778  0.1863  0.4087
Si  0.1646  0.3695  0.4145
O  0.9186  0.5383  0.0249
O  0.9028  0.9691  0.6914
Ti  0.3351  0.3323  0.6850
O  0.7673  0.8334  0.4741
Ti  0.8406  0.3503  0.1862
O  0.8509  0.5346  0.5256
Na  0.5071  0.9977  0.0017
Si  0.5219  0.3770  0.9167
Nb  0.8364  0.3326  0.6894
Nb  0.3324  0.3402  0.9788
Si  0.8320  0.6215  0.5843
O  0.5711  0.6309  0.3592
Si  0.0054  0.7164  0.7511
O  0.5097  0.8379  0.4086
Na  0.3285  0.3394  0.8304
O  0.1796  0.5009  0.0778
O  0.7640  0.8268  0.7553
Si  0.9800  0.6306  0.0847
O  0.5815  0.1985  0.6930
O  0.6833  0.8655  0.8598
O  0.5135  0.8316  0.6922
O  0.9858  0.8075  0.8082
Na  0.8163  0.9998  0.2502
O  0.2572  0.8198  0.7557
O  0.2287  0.3001  0.7448
O  0.3468  0.5320  0.5237
O  0.1502  0.4556  0.7547
O  0.7502  0.8638  0.3550
O  0.0131  0.1975  0.1910
O  0.3461  0.1737  0.7441
O  0.1798  0.8575  0.5775
O  0.9142  0.8018  0.3090
O  0.5818  0.4693  0.9757
O  0.3450  0.5168  0.2437
O  0.2666  0.6985  0.9750
Na  0.0103  0.0095  0.0008
Si  0.3329  0.6169  0.5849
Si  0.3081  0.6625  0.9140
O  0.9032  0.8346  0.1919
O  0.8249  0.1492  0.4213
Ti  0.1654  0.6502  0.3139
O  0.8498  0.1658  0.0263
O  0.2542  0.3653  0.4214
O  0.7617  0.7033  0.2549
Si  0.0254  0.3768  0.9142
Na  0.0167  0.7026  0.5845
Na  0.3486  0.0322  0.9160
O  0.0715  0.6310  0.3602
Si  0.9806  0.3298  0.5839
Si  0.3539  0.7062  0.2497
Na  0.8342  0.7001  0.0868
Nb  0.3307  0.3294  0.4789
Na  0.0167  0.3304  0.0855
Si  0.0257  0.6753  0.4145
O  0.1853  0.8673  0.8591
O  0.9858  0.1653  0.3081
S  0.1425  0.2847  0.7498
Si  0.3311  0.0476  0.0859
O  0.0717  0.6343  0.0784
O  0.9102  0.2971  0.2449
Na  0.6629  0.6678  0.6645
O  0.1007  0.1771  0.8039
O  0.0786  0.9698  0.9082
O  0.5931  0.0265  0.5886
O  0.0722  0.5092  0.5783
Ti  0.9980  0.9979  0.8544
Si  0.6454  0.2877  0.7501
O  0.4178  0.3028  0.5250
Na  0.4956  0.3599  0.7485
O  0.4130  0.5118  0.7450
O  0.3197  0.4947  0.6415
O  0.5835  0.6982  0.4735
Si  0.8595  0.0036  0.7500
O  0.1483  0.8297  0.9729
O  0.8191  0.5044  0.6432
O  0.4826  0.1584  0.5886
O  0.3187  0.1368  0.1449
O  0.0815  0.6969  0.4762
Na  0.8536  0.0351  0.9154
O  0.7503  0.8503  0.0790
Si  0.8077  0.9515  0.4137
O  0.4290  0.4990  0.4221
O  0.5822  0.6843  0.7551
Na  0.8318  0.3267  0.8322
O  0.7364  0.1671  0.5256
Si  0.6872  0.0447  0.5840
O  0.4022  0.8401  0.9100
Nb  0.4993  0.9970  0.8540
O  0.0137  0.8313  0.6912
Si  0.8115  0.6649  0.9155
O  0.6801  0.5012  0.0776
O  0.4161  0.5343  0.0273
O  0.2540  0.1429  0.9228
Si  0.1878  0.3255  0.0865
O  0.5866  0.4831  0.2564
Nb  0.8318  0.3336  0.9802
Si  0.5244  0.6745  0.4132
O  0.1857  0.5033  0.3589
Ti  0.1681  0.6788  0.8144
O  0.5979  0.1678  0.8081
Nb  0.4992  0.9971  0.6457
O  0.7555  0.3694  0.1408
O  0.4101  0.2967  0.2452
Na  0.3516  0.6705  0.4143
Nb  0.6663  0.6693  0.0221
O  0.2302  0.1543  0.2461
O  0.2350  0.1672  0.5263
O  0.9284  0.3571  0.9229
Nb  0.1663  0.6689  0.0206
O  0.6012  0.0223  0.3040
O  0.6538  0.4788  0.7548
O  0.1494  0.4671  0.4727
O  0.5133  0.1980  0.1910
Na  0.5143  0.3278  0.0856
O  0.6841  0.8605  0.5774
O  0.3204  0.4955  0.9217
O  0.7524  0.6384  0.8566
O  0.4155  0.8132  0.5890
O  0.0909  0.1624  0.0915
O  0.9196  0.8120  0.5898
O  0.7356  0.3033  0.0264
O  0.0095  0.8373  0.4092
Nb  0.1669  0.6626  0.5206
O  0.5781  0.1866  0.4085
Nb  0.6623  0.6618  0.5203
Ti  0.6654  0.6500  0.3140
O  0.7549  0.1416  0.9224
Na  0.8350  0.9656  0.5842
O  0.4849  0.8138  0.0918
O  0.9145  0.5289  0.7444
O  0.4176  0.0254  0.0908
Si  0.1877  0.0481  0.5861
O  0.4257  0.3527  0.9221
O  0.4336  0.3627  0.6437
Si  0.8541  0.7071  0.2495
O  0.7547  0.3665  0.4226
O  0.2496  0.8504  0.0782
Ti  0.4953  0.0050  0.1469
Na  0.8317  0.3372  0.3281
Si  0.3490  0.9947  0.7499
O  0.9333  0.4957  0.1400
Na  0.9842  0.3008  0.4131
Si  0.8319  0.0468  0.0871
O  0.6862  0.5033  0.3590
O  0.0695  0.5101  0.8597
O  0.3249  0.1500  0.4210
Ti  0.4935  0.9944  0.3529
Si  0.4952  0.7040  0.7493
O  0.4143  0.8020  0.3091
O  0.2555  0.3691  0.1410
Na  0.4838  0.3005  0.4137
O  0.6537  0.8351  0.9748
O  0.8183  0.1366  0.1450
O  0.2347  0.3017  0.0264
Na  0.3320  0.3375  0.3284
Si  0.1657  0.9593  0.9148
O  0.7501  0.6516  0.5783
O  0.6532  0.8456  0.2539
O  0.5901  0.9781  0.1960
Na  0.3336  0.6994  0.0860
O  0.9846  0.8135  0.0914
O  0.6491  0.4669  0.4729
Na  0.9858  0.6667  0.9133
O  0.0863  0.4830  0.2565
Na  0.8202  0.6383  0.7494
O  0.2472  0.6373  0.8578
Na  0.1633  0.6633  0.1711
O  0.5906  0.1626  0.0909
Na  0.3323  0.9685  0.5852
O  0.4861  0.1654  0.3080
O  0.4347  0.4968  0.1412
Na  0.1672  0.6607  0.6733
O  0.5088  0.1841  0.9117
Nb  0.8320  0.3286  0.4782
Si  0.5007  0.2931  0.2504
Na  0.3165  0.0001  0.2497
O  0.2501  0.8636  0.3549
O  0.0912  0.0198  0.5910
Si  0.6648  0.9577  0.9172
O  0.3508  0.1672  0.0258
O  0.9293  0.4990  0.4226
Ti  0.3404  0.3494  0.1859
O  0.4030  0.8344  0.1922
Ti  0.9968  0.0059  0.1470
Si  0.4793  0.6300  0.0852
S  0.6423  0.0001  0.2499
O  0.5736  0.5062  0.5786
Si  0.6873  0.3249  0.0868
O  0.9068  0.8380  0.9104
O  0.5800  0.9751  0.9125
S  0.1422  0.9999  0.2501
O  0.2494  0.6462  0.5777
O  0.4149  0.0329  0.8077
Na  0.8511  0.6710  0.4143
O  0.9853  0.1565  0.5917
O  0.1008  0.0220  0.3041
O  0.5687  0.4971  0.8578
O  0.9153  0.0263  0.8102
Na  0.5088  0.0015  0.4984
O  0.7423  0.3167  0.7456
O  0.9328  0.3685  0.6397
Si  0.0008  0.2929  0.2504
O  0.1528  0.8452  0.2540
Nb  0.6662  0.6725  0.8111
O  0.0103  0.1826  0.9089
Ti  0.9932  0.9937  0.3532
Na  0.0093  0.0101  0.4991
O  0.0898  0.9778  0.1961
Si  0.4784  0.3360  0.5845
Si  0.3084  0.9540  0.4129
O  0.9185  0.0269  0.0903
O  0.0887  0.1995  0.6959
O  0.0811  0.4648  0.9761
O  0.8477  0.1721  0.7448
O  0.4051  0.9735  0.4095
Ti  0.9992  0.9906  0.6462
Na  0.6629  0.6628  0.1722
O  0.7678  0.6994  0.9744
O  0.5718  0.6349  0.0783
O  0.3993  0.9728  0.6911
O  0.4852  0.8032  0.8076
O  0.2616  0.7030  0.2552

(2)
DFT (GGA-PBE) results for NaSrAu2 after structural relaxation.

Energy ... -2.95 eV per atom
Space-group type ... No. 225
Energy of formation from the pure elements ... -218 kJ/mol of formula units

abc: 5.2797 5.2797 5.2797
angles: 60.00 60.00 60.00
Fractional coordinates of all 4 atoms:
Sr  0.0000  0.0000  0.0000
Au  0.2500  0.2500  0.2500
Au  0.7500  0.7500  0.7500
Na  0.5000  0.5000  0.5000

(3)
DFT (GGA-PBE) results for SrPO4 after structural relaxation.

Energy ... -6.89 eV per atom
Space-group type ... No. 2
Energy of formation from the pure elements ... -1657 kJ/mol of formula units

abc: 6.8845 7.2801 7.3094
angles: 101.30 96.75 89.59
Fractional coordinates of all 24 atoms:
O  0.4935  0.3393  0.6224
O  0.8050  0.8748  0.4253
O  0.0730  0.1154  0.1772
O  0.4853  0.9569  0.2481
O  0.9270  0.8846  0.8228
Sr  0.4470  0.3048  0.2446
Sr  0.5530  0.6952  0.7554
O  0.1950  0.1252  0.5747
O  0.9022  0.5395  0.7260
P  0.0503  0.7046  0.7827
P  0.6235  0.7962  0.2898
O  0.0979  0.4605  0.2740
P  0.9497  0.2954  0.2173
P  0.3765  0.2038  0.7102
O  0.8150  0.3079  0.0357
O  0.6834  0.6960  0.0972
Sr  0.8576  0.1845  0.6890
O  0.1837  0.7093  0.6282
O  0.5147  0.0431  0.7519
Sr  0.1424  0.8155  0.3110
O  0.5065  0.6607  0.3776
O  0.8163  0.2907  0.3718
O  0.3166  0.3040  0.9028
O  0.1850  0.6921  0.9643

(4)
DFT (GGA-PBE) results for Na2Zr3ZnSi2S4O24 after structural relaxation.

Energy ... -7.03 eV per atom
Space-group type ... No. 1
Energy of formation from the pure elements ... -9066 kJ/mol of formula units

abc: 8.9741 8.9534 23.5237
angles: 89.83 89.93 120.16
Fractional coordinates of all 108 atoms:
O  0.0256  0.2138  0.1992
O  0.1589  0.4611  0.9724
O  0.4669  0.1551  0.2442
O  0.8755  0.3572  0.6339
O  0.8503  0.3099  0.5316
O  0.3081  0.8416  0.2555
O  0.1549  0.9694  0.9088
O  0.0266  0.8238  0.4080
O  0.3584  0.4785  0.3636
O  0.4864  0.3550  0.4235
O  0.8237  0.0244  0.8054
O  0.7971  0.8199  0.9103
O  0.2118  0.1842  0.8002
O  0.5186  0.6394  0.8654
S  0.6239  0.6669  0.9168
S  0.7096  0.7117  0.2479
Si  0.3643  0.3310  0.0830
S  0.9556  0.6274  0.0844
O  0.6852  0.1704  0.7422
O  0.5360  0.8413  0.4712
O  0.2048  0.0308  0.5895
O  0.8667  0.5145  0.4227
O  0.1171  0.6358  0.3636
Na  0.6648  0.3205  0.3350
O  0.1582  0.4689  0.2590
O  0.9766  0.7887  0.8006
Si  0.0386  0.3776  0.9155
Zr  0.0003  0.0159  0.8545
O  0.8170  0.7939  0.3006
O  0.6507  0.1549  0.4246
O  0.6853  0.5266  0.5275
Si  0.6785  0.6322  0.5841
Na  0.0208  0.0161  0.0017
O  0.5344  0.6842  0.2554
Zr  0.6643  0.3342  0.6884
O  0.3030  0.4528  0.4670
O  0.0320  0.8147  0.6971
S  0.2880  0.9945  0.2495
S  0.2871  0.2893  0.7474
O  0.5094  0.8724  0.0800
Zr  0.3342  0.6804  0.8151
O  0.0185  0.1858  0.9119
O  0.3642  0.8720  0.8617
O  0.4917  0.3565  0.1394
S  0.0016  0.7127  0.7486
O  0.8541  0.5415  0.0331
O  0.1859  0.9763  0.1986
S  0.6696  0.0412  0.0847
O  0.1348  0.4904  0.8594
O  0.1519  0.6842  0.7548
Zr  0.3203  0.6535  0.0182
O  0.6440  0.5044  0.6384
S  0.3332  0.3765  0.4149
O  0.5142  0.8262  0.7555
O  0.3605  0.5120  0.0803
Zn  0.9628  0.9707  0.6490
Na  0.6712  0.3179  0.8355
Zr  0.3562  0.6757  0.5212
O  0.1794  0.1588  0.0887
O  0.6990  0.5367  0.2446
O  0.7948  0.8164  0.1976
Si  0.6206  0.9610  0.4133
O  0.4648  0.3082  0.7438
Zn  0.0172  0.0148  0.1460
O  0.3110  0.8419  0.9745
O  0.4608  0.1466  0.5318
Zr  0.6518  0.3186  0.9783
S  0.0451  0.6665  0.4149
O  0.9785  0.1843  0.3019
O  0.1886  0.2089  0.6964
O  0.7894  0.9714  0.6917
O  0.8152  0.9795  0.4072
O  0.4965  0.6402  0.5774
Zr  0.9898  0.9991  0.3530
O  0.8207  0.0221  0.0918
O  0.2094  0.0236  0.3014
O  0.1469  0.6904  0.4671
Na  0.9842  0.9879  0.5091
S  0.3709  0.0430  0.5838
O  0.5450  0.6929  0.9683
Si  0.3254  0.9542  0.9180
O  0.6432  0.5128  0.9234
O  0.9831  0.1845  0.5871
O  0.6474  0.1307  0.1358
O  0.4980  0.1469  0.9223
O  0.1282  0.4960  0.5748
O  0.9695  0.7953  0.0919
O  0.8728  0.5144  0.1362
Na  0.3349  0.6600  0.1663
O  0.4833  0.1201  0.6344
O  0.6948  0.1489  0.0333
Zr  0.6567  0.3348  0.1837
O  0.3519  0.8670  0.5763
O  0.8449  0.3099  0.2457
S  0.0051  0.2971  0.2499
O  0.4710  0.3130  0.0295
O  0.1297  0.6434  0.0808
O  0.8480  0.8189  0.5841
Si  0.7078  0.9973  0.7479
Zr  0.6702  0.3363  0.4824
O  0.8525  0.3628  0.9253
Na  0.3520  0.6740  0.6707
O  0.5095  0.8770  0.3578
O  0.8438  0.5349  0.7431
O  0.1788  0.1987  0.4089
S  0.9600  0.3333  0.5832
Zn  0.3427  0.6820  0.3183
O  0.3114  0.4644  0.7553